No. 1
Below is a relaxed structure of Eu2CN2Cl2, with properties calculated at the GGA-PBE level.

ΔH_f (0 K) ... -11.86 eV per formula unit
Crystal system ... monoclinic

```
7
Lattice="4.8382 -2.1135 0.0000 4.8382 2.1135 0.0000 -1.0376 0.0000 7.1678" Properties=species:S:1:pos:R:3 pbc="T T T"
Eu 1.4789 0.0000 1.9437
Eu 7.1600 0.0000 5.2241
C 4.3194 0.0000 3.5839
N 3.1386 0.0000 3.9603
N 5.5003 0.0000 3.2075
Cl 0.3721 0.0000 6.0962
Cl 8.2668 0.0000 1.0716
```



No. 2
Below is a relaxed structure of P7H54Ir2C18ClF6, with properties calculated at the GGA-PBE level.

ΔH_f (0 K) ... -37.84 eV per formula unit
Crystal system ... triclinic

```
176
Lattice="9.9620 0.0000 0.0000 4.9739 14.1303 0.0000 0.0362 2.0333 15.2900" Properties=species:S:1:pos:R:3 pbc="T T T"
P 1.6794 2.9365 0.2383
P 1.7797 3.8992 8.0647
P 3.9332 8.7299 2.0126
P 4.5860 5.6874 8.6439
P 3.2414 1.6227 10.0616
P 4.9012 5.4127 14.5023
P 6.9137 10.6460 11.3872
P 8.0583 5.5176 3.9028
P 10.0708 10.7509 0.7877
P 11.7306 14.5409 5.2284
P 10.3860 10.4761 6.6461
P 11.0388 7.4337 13.2774
P 13.1923 12.2644 7.2253
P 13.2926 13.2270 15.0517
H 0.4452 2.1467 9.1935
H 0.9740 2.6651 2.5604
H 2.7218 8.7875 11.9974
H 3.3626 10.0751 8.3243
H 4.3302 12.7344 9.3599
H 3.9996 11.7801 13.1906
H 3.6653 9.9722 6.5613
H 4.9090 12.3791 5.5057
H 5.0136 12.0745 1.2058
H 3.0638 6.4503 1.9859
H 3.2992 7.7257 8.9481
H 5.4983 14.3434 14.7710
H 6.1334 15.6207 11.3491
H 2.4143 3.8035 5.7314
H 5.5909 12.9185 7.0748
H 2.5409 3.5283 2.4342
H 1.9359 2.1926 6.3190
H 4.6107 9.4347 4.2243
H 1.7074 0.6495 1.1390
H 4.9360 10.5769 7.6763
H 4.3349 9.5377 15.2589
H 3.6828 6.5340 6.5493
H 3.9691 6.7831 3.4878
H 3.9035 7.0609 10.4830
H 6.7231 14.7749 8.3825
H 5.6613 10.7148 0.2520
H 2.2640 2.7597 14.7126
H 5.6803 10.1392 2.9949
H 5.5725 8.7208 0.1643
H 2.5865 1.6939 12.3828
H 5.0089 7.9977 9.4311
H 7.1780 14.2056 11.6974
H 3.3546 1.1939 0.7178
H 5.8985 8.4263 3.4860
H 5.6479 7.2232 1.1273
H 4.7827 5.1587 6.2778
H 7.6879 13.5111 9.1946
H 5.4525 6.7739 6.6082
H 8.4386 14.5800 7.9575
H 5.1817 4.3063 1.4294
H 4.7896 2.5775 1.5188
H 8.3172 12.4099 1.3069
H 6.0433 7.5793 14.3454
H 5.8717 6.8261 12.7456
H 4.4185 1.1128 5.4912
H 8.1277 11.4142 6.8347
H 7.8614 9.9382 1.4042
H 8.5280 13.0648 14.2009
H 5.3651 3.8684 12.7300
H 5.0483 2.9903 14.2399
H 4.7730 0.6488 3.8014
H 5.3430 2.2233 4.4345
H 8.4576 10.8282 5.1735
H 6.8676 6.5033 8.8130
H 8.1044 9.6603 6.4770
H 6.5144 5.3354 10.1165
H 9.6290 13.9403 10.8555
H 10.1990 15.5147 11.4887
H 9.9237 13.1733 1.0501
H 9.6069 12.2952 2.5601
H 6.4440 3.0988 1.0891
H 7.1106 6.2254 13.8858
H 6.8443 4.7494 8.4553
H 10.5535 15.0508 9.7988
H 9.1003 9.3375 2.5444
H 8.9286 8.5843 0.9446
H 6.6548 3.7537 13.9831
H 10.1823 13.5861 13.7713
H 9.7903 11.8573 13.8606
H 6.5334 1.5836 7.3325
H 9.5194 9.3897 8.6818
H 7.2840 2.6525 6.0954
H 10.1893 11.0048 9.0123
H 9.3241 8.9404 14.1627
H 9.0735 7.7373 11.8041
H 11.6174 14.9697 14.5722
H 7.7940 1.9580 3.5926
H 9.9631 8.1659 5.8589
H 12.3855 14.4697 2.9072
H 9.3995 7.4428 15.1257
H 9.2917 6.0244 12.2951
H 12.7080 13.4039 0.5774
H 9.3107 5.4488 15.0380
H 8.2489 1.3887 6.9076
H 11.0685 9.1027 4.8071
H 11.0029 9.3805 11.8022
H 11.2892 9.6295 8.7407
H 10.6371 6.6259 0.0311
H 10.0360 5.5867 7.6137
H 13.2646 15.5141 14.1510
H 10.3613 6.7289 11.0657
H 13.0361 13.9710 8.9710
H 12.4311 12.6353 12.8558
H 9.3810 3.2451 8.2152
H 12.5576 12.3601 9.5587
H 8.8386 0.5429 3.9409
H 9.4737 1.8201 0.5190
H 11.6728 8.4379 6.3419
H 11.9082 9.7133 13.3041
H 9.9584 4.0891 14.0842
H 10.0630 3.7845 9.7843
H 11.3067 6.1914 8.7287
H 10.9724 4.3835 2.0994
H 10.6417 3.4292 5.9302
H 11.6094 6.0885 6.9657
H 12.2502 7.3760 3.2927
H 13.9980 13.4985 12.7296
H 14.5268 14.0169 6.0965
Ir 2.7633 5.9817 13.8931
Ir 3.4823 3.8267 9.4362
Ir 11.4897 12.3369 5.8539
Ir 12.2087 10.1819 1.3969
C 1.5365 3.4275 2.0005
C 4.7201 12.9792 6.4085
C 3.8572 10.5536 7.4719
C 1.6845 3.2592 6.3461
C 3.2371 7.1937 2.7739
C 5.0322 11.6087 0.2101
C 2.3051 1.2104 0.4051
C 4.1741 7.2867 9.4409
C 5.1615 9.2207 3.2980
C 4.9722 7.9761 0.6988
C 7.1681 15.2881 11.5081
C 4.6357 6.0818 6.8526
C 7.7133 14.5293 8.7837
C 5.3765 3.3277 0.9723
C 6.0903 6.6289 13.8037
C 5.5753 3.8505 13.8091
C 6.3786 5.5472 9.0456
C 5.1628 1.1671 4.6884
C 9.8091 14.9965 10.6016
C 8.5934 10.6164 6.2444
C 9.3967 12.3131 1.4809
C 8.8816 9.5347 1.4863
C 9.5955 12.8359 14.3177
C 7.2587 1.6343 6.5063
C 10.3363 10.0818 8.4374
C 7.8039 0.8754 3.7819
C 9.9998 8.1875 14.5912
C 9.8105 6.9429 11.9920
C 10.7979 8.8769 5.8491
C 12.6669 14.9532 14.8849
C 9.9398 4.5549 15.0799
C 11.7349 8.9699 12.5162
C 13.2875 12.9043 8.9439
C 11.1148 5.6100 7.8181
C 10.2519 3.1843 8.8815
C 13.4354 12.7361 13.2895
Cl 3.2127 4.9432 11.6703
Cl 11.7593 11.2204 3.6197
F 5.3732 10.1132 11.5565
F 6.4629 11.5216 10.0627
F 6.5729 11.9370 12.3516
F 7.2577 9.3661 10.4198
F 7.3689 9.7829 12.7067
F 6.5173 4.9676 4.0778
F 8.4546 11.1960 11.2122
F 7.6031 6.3807 2.5833
F 7.7143 6.7975 4.8702
F 8.3991 4.2266 2.9384
F 8.5091 4.6420 5.2273
F 9.5988 6.0504 3.7335
```



No. 3
Below is a relaxed structure of Sb2H5C3SCl6O5F3, with properties calculated at the GGA-PBE level.

ΔH_f (0 K) ... -25.80 eV per formula unit
Crystal system ... monoclinic

```
50
Lattice="7.0691 0.0000 0.0000 0.0000 14.4805 0.0000 -2.6155 0.0000 9.6942" Properties=species:S:1:pos:R:3 pbc="T T T"
Sb 0.4193 2.0089 2.6449
Sb 0.4193 5.2314 2.6449
Sb 4.0343 9.2491 7.0493
Sb 4.0343 12.4716 7.0493
H 0.2848 10.8604 4.1382
H 0.8707 9.9697 6.4021
H 0.8707 11.7511 6.4021
H 1.8194 9.9632 4.0633
H 1.8194 11.7576 4.0633
H 2.6342 2.7230 5.6309
H 2.6342 4.5173 5.6309
H 3.5829 2.7294 3.2921
H 3.5829 4.5109 3.2921
H 4.1688 3.6201 5.5560
C 1.3339 10.8604 4.4697
C 0.5303 3.6201 8.9302
C 1.3555 10.8604 5.9794
C 3.0981 3.6201 3.7149
C 3.9233 10.8604 0.7640
C 3.1197 3.6201 5.2245
S -1.2871 3.6201 9.4392
S 5.7407 10.8604 0.2550
Cl -1.4661 7.8438 8.0525
Cl -1.4661 13.8770 8.0525
Cl -0.3079 1.6688 4.8440
Cl -0.3079 5.5714 4.8440
Cl 2.1454 0.4334 2.7469
Cl 2.1454 6.8069 2.7469
Cl 2.3082 7.6736 6.9473
Cl 2.3082 14.0472 6.9473
Cl 4.7615 8.9091 4.8503
Cl 4.7615 12.8117 4.8503
Cl 5.9197 0.6035 1.6417
Cl 5.9197 6.6368 1.6417
O -1.9440 10.8604 7.3903
O -2.0448 3.6201 8.2281
O 1.2230 2.3800 0.5785
O 1.2230 4.8602 0.5785
O 1.7209 3.6201 3.1732
O 2.7327 10.8604 6.5211
O 3.2306 9.6203 9.1157
O 3.2306 12.1005 9.1157
O 6.4984 10.8604 1.4662
O 6.3976 3.6201 2.3039
F 0.7767 2.5202 8.1917
F 0.7767 4.7201 8.1917
F 0.5153 10.8604 9.3710
F 3.9383 3.6201 0.3232
F 3.6769 9.7604 1.5025
F 3.6769 11.9604 1.5025
```